The following is a DFT calculation (PBE with a Hubbard U) of an optimized crystal structure of NiH32C4S2N2O16.

```
NiH32C4S2N2O16
1.0
8.948 0.000 0.000
0.000 13.307 0.000
0.000 0.000 17.103
Ni H C S N O
4 128 16 8 8 64
Direct
0.000 0.000 0.000
0.000 0.500 0.500
0.500 0.000 0.500
0.500 0.500 0.000
0.012 0.016 0.262
0.012 0.484 0.762
0.022 0.049 0.399
0.022 0.451 0.899
0.024 0.098 0.868
0.024 0.402 0.368
0.086 0.661 0.419
0.086 0.839 0.919
0.087 0.726 0.195
0.087 0.774 0.695
0.110 0.131 0.244
0.110 0.369 0.744
0.113 0.158 0.385
0.113 0.342 0.885
0.143 0.700 0.096
0.143 0.800 0.596
0.153 0.580 0.621
0.153 0.920 0.121
0.157 0.168 0.011
0.157 0.332 0.511
0.172 0.154 0.757
0.172 0.346 0.257
0.192 0.615 0.173
0.192 0.885 0.673
0.199 0.030 0.297
0.199 0.470 0.797
0.210 0.638 0.482
0.210 0.862 0.982
0.226 0.684 0.829
0.226 0.816 0.329
0.230 0.588 0.973
0.230 0.912 0.473
0.270 0.088 0.973
0.270 0.412 0.473
0.274 0.184 0.829
0.274 0.316 0.329
0.290 0.138 0.482
0.290 0.362 0.982
0.301 0.530 0.297
0.301 0.970 0.797
0.308 0.115 0.173
0.308 0.385 0.673
0.328 0.654 0.757
0.328 0.846 0.257
0.343 0.668 0.011
0.343 0.832 0.511
0.347 0.080 0.621
0.347 0.420 0.121
0.357 0.200 0.096
0.357 0.300 0.596
0.387 0.658 0.385
0.387 0.842 0.885
0.390 0.631 0.244
0.390 0.869 0.744
0.413 0.226 0.195
0.413 0.274 0.695
0.414 0.161 0.419
0.414 0.339 0.919
0.476 0.598 0.868
0.476 0.902 0.368
0.478 0.549 0.399
0.478 0.951 0.899
0.488 0.516 0.262
0.488 0.984 0.762
0.512 0.016 0.238
0.512 0.484 0.738
0.522 0.049 0.101
0.522 0.451 0.601
0.524 0.098 0.632
0.524 0.402 0.132
0.586 0.661 0.081
0.586 0.839 0.581
0.587 0.726 0.305
0.587 0.774 0.805
0.610 0.131 0.256
0.610 0.369 0.756
0.613 0.158 0.115
0.613 0.342 0.615
0.643 0.700 0.404
0.643 0.800 0.904
0.653 0.580 0.879
0.653 0.920 0.379
0.657 0.168 0.489
0.657 0.332 0.989
0.672 0.154 0.743
0.672 0.346 0.243
0.692 0.615 0.327
0.692 0.885 0.827
0.699 0.030 0.203
0.699 0.470 0.703
0.710 0.638 0.018
0.710 0.862 0.518
0.726 0.684 0.671
0.726 0.816 0.171
0.730 0.588 0.527
0.730 0.912 0.027
0.770 0.088 0.527
0.770 0.412 0.027
0.774 0.184 0.671
0.774 0.316 0.171
0.790 0.138 0.018
0.790 0.362 0.518
0.801 0.530 0.203
0.801 0.970 0.703
0.808 0.115 0.327
0.808 0.385 0.827
0.828 0.654 0.743
0.828 0.846 0.243
0.843 0.668 0.489
0.843 0.832 0.989
0.847 0.080 0.879
0.847 0.420 0.379
0.857 0.200 0.404
0.857 0.300 0.904
0.887 0.658 0.115
0.887 0.842 0.615
0.890 0.631 0.256
0.890 0.869 0.756
0.913 0.226 0.305
0.913 0.274 0.805
0.914 0.161 0.081
0.914 0.339 0.581
0.976 0.598 0.632
0.976 0.902 0.132
0.978 0.549 0.101
0.978 0.951 0.601
0.988 0.516 0.238
0.988 0.984 0.738
0.094 0.069 0.286
0.094 0.431 0.786
0.107 0.667 0.151
0.107 0.833 0.651
0.393 0.167 0.151
0.393 0.333 0.651
0.406 0.569 0.286
0.406 0.931 0.786
0.594 0.069 0.214
0.594 0.431 0.714
0.607 0.667 0.349
0.607 0.833 0.849
0.893 0.167 0.349
0.893 0.333 0.849
0.906 0.569 0.214
0.906 0.931 0.714
0.056 0.157 0.594
0.056 0.343 0.094
0.444 0.657 0.594
0.444 0.843 0.094
0.556 0.157 0.906
0.556 0.343 0.406
0.944 0.657 0.906
0.944 0.843 0.406
0.035 0.111 0.360
0.035 0.389 0.860
0.465 0.611 0.360
0.465 0.889 0.860
0.535 0.111 0.140
0.535 0.389 0.640
0.965 0.611 0.140
0.965 0.889 0.640
0.031 0.739 0.866
0.031 0.761 0.366
0.047 0.576 0.931
0.047 0.924 0.431
0.052 0.552 0.611
0.052 0.948 0.111
0.135 0.200 0.524
0.135 0.300 0.024
0.138 0.605 0.446
0.138 0.895 0.946
0.168 0.115 0.650
0.168 0.385 0.150
0.170 0.171 0.813
0.170 0.329 0.313
0.180 0.095 0.006
0.180 0.405 0.506
0.320 0.595 0.006
0.320 0.905 0.506
0.330 0.671 0.813
0.330 0.829 0.313
0.332 0.615 0.650
0.332 0.885 0.150
0.362 0.105 0.446
0.362 0.395 0.946
0.365 0.700 0.524
0.365 0.800 0.024
0.448 0.052 0.611
0.448 0.448 0.111
0.453 0.076 0.931
0.453 0.424 0.431
0.469 0.239 0.866
0.469 0.261 0.366
0.531 0.739 0.634
0.531 0.761 0.134
0.547 0.576 0.569
0.547 0.924 0.069
0.552 0.552 0.889
0.552 0.948 0.389
0.635 0.200 0.976
0.635 0.300 0.476
0.638 0.605 0.054
0.638 0.895 0.554
0.668 0.115 0.850
0.668 0.385 0.350
0.670 0.171 0.687
0.670 0.329 0.187
0.680 0.095 0.494
0.680 0.405 0.994
0.820 0.595 0.494
0.820 0.905 0.994
0.830 0.671 0.687
0.830 0.829 0.187
0.832 0.615 0.850
0.832 0.885 0.350
0.862 0.105 0.054
0.862 0.395 0.554
0.865 0.700 0.976
0.865 0.800 0.476
0.948 0.052 0.889
0.948 0.448 0.389
0.953 0.076 0.569
0.953 0.424 0.069
0.969 0.239 0.634
0.969 0.261 0.134
```

Results
The calculated volume is 2036 Å³/cell. As for the space group: Pbca (61). As for the total energy: -5.23 eV/atom. As for the crystal system: orthorhombic. The energy of formation from the pure elements is -991.8 meV per atom. As for the mass density: 1.59 g/cm³.